# K2PtF6 (GGA-PBE, optimized geometry)
# Calculated formation energy in eV/atom: -2.4336
data_K2PtF6
_chemical_formula_sum 'K2 Pt1 F6'
_symmetry_space_group_name_H-M 'P -3 m 1'
_symmetry_Int_Tables_number 164
_symmetry_space_group_name_Hall '-P 3 2"'
_cell_length_a 5.9076
_cell_length_b 5.9076
_cell_length_c 4.7535
_cell_angle_alpha 90.00
_cell_angle_beta 90.00
_cell_angle_gamma 120.00
loop_
_atom_site_label
_atom_site_fract_x
_atom_site_fract_y
_atom_site_fract_z
K1 0.3333 0.6667 0.2147
Pt1 0.0000 0.0000 0.5000
F1 0.1630 0.3259 0.7236